# Te2MoWS2 | the Materials Project database | PBE | relaxed
data_Te2MoWS2
_cell_length_a 3.355
_cell_length_b 3.355
_cell_length_c 38.572
_cell_angle_alpha 90.00
_cell_angle_beta 90.00
_cell_angle_gamma 120.00
_symmetry_space_group_name_H-M 'P 1'
_symmetry_Int_Tables_number 1
loop_
_symmetry_equiv_pos_as_xyz
'x,y,z'
loop_
_atom_site_label
_atom_site_type_symbol
_atom_site_fract_x
_atom_site_fract_y
_atom_site_fract_z
Mo1 Mo 0.667 0.333 0.906
Mo2 Mo 0.333 0.667 0.094
Te1 Te 0.333 0.667 0.857
Te2 Te 0.667 0.333 0.143
Te3 Te 0.667 0.333 0.045
Te4 Te 0.333 0.667 0.955
S1 S 0.667 0.333 0.758
S2 S 0.333 0.667 0.242
S3 S 0.333 0.667 0.321
S4 S 0.667 0.333 0.679
W1 W 0.333 0.667 0.718
W2 W 0.667 0.333 0.282
# **Size of the total moment**: 0.00 μB/f.u.
# **Offset from the most stable computed form**: 0.002 eV/atom